# 1
The following is a GGA-PBE calculation of a relaxed GaFe2Co crystal, from Materials Project.

extended XYZ file:
```
4
Lattice="0.000 2.856 2.856 2.856 0.000 2.856 2.856 2.856 0.000" Properties=species:S:1:pos:R:3 pbc="T T T"
Fe 2.856 2.856 2.856
Fe 1.428 1.428 1.428
Ga 0.000 0.000 0.000
Co 4.284 4.284 4.284
```

The formation energy is -154 meV/atom. The size of the total moment is 4.93 μB per cell.

# 2
The following is a GGA-PBE calculation of a relaxed ScGa4Fe3Co8 crystal, from Materials Project.

extended XYZ file:
```
16
Lattice="13.412 -2.046 0.000 13.412 2.046 0.000 13.100 0.000 3.531" Properties=species:S:1:pos:R:3 pbc="T T T"
Ga 34.895 0.000 3.086
Ga 5.029 0.000 0.445
Ga 15.032 0.000 1.329
Ga 24.891 0.000 2.201
Sc 0.000 0.000 0.000
Co 2.604 0.000 0.230
Co 12.362 0.000 1.093
Co 22.413 0.000 1.982
Co 7.475 0.000 0.661
Co 17.511 0.000 1.548
Co 27.562 0.000 2.437
Co 32.449 0.000 2.870
Co 37.320 0.000 3.300
Fe 19.962 0.000 1.765
Fe 9.930 0.000 0.878
Fe 29.994 0.000 2.652
```

The formation energy is -274 meV/atom. The size of the total moment is 15.01 μB per cell.

# 3
The following is a GGA-PBE calculation of a relaxed GaFe2Co4Si crystal, from Materials Project.

extended XYZ file:
```
8
Lattice="-0.937 3.821 5.732 -0.720 -0.009 6.915 2.639 2.034 6.102" Properties=species:S:1:pos:R:3 pbc="T T T"
Co 0.372 2.214 7.102
Co 0.610 3.631 11.647
Co 0.126 0.751 2.410
Co 0.855 5.094 16.339
Fe 0.246 1.467 4.707
Fe 0.735 4.377 14.042
Ga 0.000 0.000 0.000
Si 0.491 2.922 9.374
```

The formation energy is -305 meV/atom. The size of the total moment is 10.80 μB per cell.

# 4
The following is a GGA-PBE calculation of a relaxed GaFe4Co8Si3 crystal, from Materials Project.

extended XYZ file:
```
16
Lattice="13.107 -2.000 0.000 13.107 2.000 0.000 12.802 0.000 3.450" Properties=species:S:1:pos:R:3 pbc="T T T"
Co 17.078 0.000 1.510
Co 21.937 0.000 1.940
Co 36.511 0.000 3.229
Co 12.128 0.000 1.073
Co 31.699 0.000 2.803
Co 2.504 0.000 0.221
Co 7.315 0.000 0.647
Co 26.886 0.000 2.378
Si 9.745 0.000 0.862
Si 29.270 0.000 2.588
Si 19.507 0.000 1.725
Fe 14.630 0.000 1.294
Fe 24.385 0.000 2.156
Fe 4.890 0.000 0.432
Fe 34.125 0.000 3.018
Ga 0.000 0.000 0.000
```

The formation energy is -328 meV/atom. The size of the total moment is 21.72 μB per cell.

# 5
The following is a GGA-PBE calculation of a relaxed Ga3Fe4Co8Si crystal, from Materials Project.

extended XYZ file:
```
16
Lattice="13.211 -2.016 0.000 13.211 2.016 0.000 12.903 0.000 3.479" Properties=species:S:1:pos:R:3 pbc="T T T"
Co 36.854 0.000 3.260
Co 27.045 0.000 2.392
Co 32.013 0.000 2.832
Co 2.471 0.000 0.219
Co 7.313 0.000 0.647
Co 12.280 0.000 1.086
Co 22.035 0.000 1.949
Co 17.290 0.000 1.529
Fe 34.414 0.000 3.044
Fe 4.911 0.000 0.434
Fe 24.567 0.000 2.173
Fe 14.759 0.000 1.305
Si 19.663 0.000 1.739
Ga 29.521 0.000 2.611
Ga 0.000 0.000 0.000
Ga 9.805 0.000 0.867
```

The formation energy is -276 meV/atom.

# 6
The following is a GGA-PBE calculation of a relaxed VGaFeCo crystal, from Materials Project.

extended XYZ file:
```
4
Lattice="4.031 -0.092 0.449 1.803 2.489 2.649 1.629 -1.494 3.402" Properties=species:S:1:pos:R:3 pbc="T T T"
V 3.732 0.451 3.250
Fe 1.866 0.226 1.625
Co 5.598 0.677 4.875
Ga 0.000 0.000 0.000
```

The formation energy is -277 meV/atom. The size of the total moment is 0.99 μB per cell.

# 7
The following is a GGA-PBE calculation of a relaxed ZrGa6Fe5Co crystal, from Materials Project.

extended XYZ file:
```
13
Lattice="0.000 0.000 5.043 -4.170 4.336 2.521 -4.170 -4.336 -2.521" Properties=species:S:1:pos:R:3 pbc="T T T"
Fe -3.031 -0.001 0.000
Fe -4.170 1.208 2.521
Fe -5.309 -0.001 0.000
Fe -4.170 -2.446 0.000
Fe -4.170 2.374 5.043
Co -4.170 -1.153 2.521
Ga -2.121 -2.165 1.269
Ga -6.219 -2.165 3.774
Ga -6.219 -2.165 1.269
Ga -2.121 -2.165 3.774
Ga -1.706 -0.004 2.521
Ga -6.634 -0.004 2.521
Zr -4.170 -4.320 2.521
```

The formation energy is -55 meV/atom. The size of the total moment is 12.27 μB per cell.

# 8
The following is a GGA-PBE calculation of a relaxed HoFeCo crystal, from Materials Project.

extended XYZ file:
```
6
Lattice="3.270 -0.398 3.886 2.916 3.531 -2.232 -4.885 0.975 1.066" Properties=species:S:1:pos:R:3 pbc="T T T"
Co -0.985 2.253 -0.583
Co 3.093 1.566 0.827
Ho 1.740 3.284 -1.201
Ho -0.440 0.823 3.920
Fe 0.650 2.053 1.359
Fe 1.635 -0.199 1.943
```

The formation energy is -183 meV/atom.